Entry 1:
Computed, not measured: a relaxed structure of TiReP3O12 at the PBE-GGA level of DFT.

## Properties
The value obtained for the formation energy is -4367 kJ/mol of formula units. The crystal system is trigonal.

```
TiReP3O12
1.0
8.818 -0.068 -0.048
4.599 7.525 -0.048
4.599 2.556 7.077
Ti Re P O
2 2 6 24
Direct
0.139 0.139 0.139 Ti
0.639 0.639 0.639 Ti
0.359 0.359 0.359 Re
0.859 0.859 0.859 Re
0.033 0.468 0.746 P
0.468 0.746 0.033 P
0.746 0.033 0.468 P
0.246 0.968 0.533 P
0.533 0.246 0.968 P
0.968 0.533 0.246 P
0.139 0.508 0.277 O
0.277 0.139 0.508 O
0.064 0.290 0.917 O
0.508 0.277 0.139 O
0.008 0.639 0.777 O
0.216 0.446 0.574 O
0.290 0.917 0.064 O
0.446 0.574 0.216 O
0.207 0.004 0.367 O
0.574 0.216 0.446 O
0.074 0.946 0.716 O
0.367 0.207 0.004 O
0.639 0.777 0.008 O
0.917 0.064 0.290 O
0.417 0.790 0.564 O
0.777 0.008 0.639 O
0.564 0.417 0.790 O
0.716 0.074 0.946 O
0.790 0.564 0.417 O
0.004 0.367 0.207 O
0.504 0.707 0.867 O
0.946 0.716 0.074 O
0.707 0.867 0.504 O
0.867 0.504 0.707 O
```


Entry 2:
Computed, not measured: a relaxed structure of LiHF2 at the PBE-GGA level of DFT.

## Properties
The value obtained for the formation energy is -980 kJ/mol of formula units. The crystal system is trigonal. For the energy above the lowest structure with this stoichiometry, the calculation gives 0.00 kcal/mol of atoms.

```
LiHF2
1.0
4.525 -1.517 0.000
4.525 1.517 0.000
4.016 0.000 2.578
Li H F
1 1 2
Direct
0.000 0.000 0.000 Li
0.500 0.500 0.500 H
0.414 0.414 0.414 F
0.586 0.586 0.586 F
```


Entry 3:
Computed, not measured: a relaxed structure of Ni3Au at the PBE-GGA level of DFT.

## Properties
The value obtained for the formation energy is 38 kJ/mol of formula units. The crystal system is tetragonal.

```
Ni3Au
1.0
3.063 0.001 3.370
-1.690 2.073 3.686
-1.620 -3.308 -2.679
Ni Au
3 1
Direct
0.750 0.250 0.500 Ni
0.250 0.750 0.500 Ni
0.500 0.500 0.000 Ni
0.000 0.000 0.000 Au
```


Entry 4:
Computed, not measured: a relaxed structure of AlCuP2Se6 at the PBE-GGA level of DFT.

## Properties
The value obtained for the formation energy is -540 kJ/mol of formula units. The crystal system is trigonal.

```
AlCuP2Se6
1.0
7.156 -3.143 0.000
7.156 3.143 0.000
5.776 0.000 5.266
Al Cu P Se
1 1 2 6
Direct
0.167 0.167 0.167 Al
0.833 0.833 0.833 Cu
0.553 0.553 0.553 P
0.446 0.446 0.446 P
0.931 0.245 0.565 Se
0.565 0.931 0.245 Se
0.245 0.565 0.931 Se
0.085 0.773 0.403 Se
0.403 0.085 0.773 Se
0.773 0.403 0.085 Se
```


Entry 5:
Computed, not measured: a relaxed structure of ThMg16Al12 at the PBE-GGA level of DFT.

## Properties
The value obtained for the formation energy is -141 kJ/mol of formula units. The crystal system is trigonal. For the energy above the lowest structure with this stoichiometry, the calculation gives 0.17 kcal/mol of atoms.

```
ThMg16Al12
1.0
6.094 5.765 -3.932
-6.512 4.824 4.492
4.341 -5.718 5.857
Th Mg Al
1 16 12
Direct
0.373 0.373 0.373 Th
0.653 0.996 0.996 Mg
0.718 0.316 0.316 Mg
0.279 0.614 0.614 Mg
0.995 0.995 0.995 Mg
0.002 0.689 0.393 Mg
0.393 0.002 0.689 Mg
0.614 0.614 0.279 Mg
0.996 0.996 0.653 Mg
0.689 0.393 0.002 Mg
0.316 0.718 0.316 Mg
0.316 0.316 0.718 Mg
0.689 0.002 0.393 Mg
0.996 0.653 0.996 Mg
0.614 0.279 0.614 Mg
0.393 0.689 0.002 Mg
0.002 0.393 0.689 Mg
0.172 0.811 0.811 Al
0.811 0.628 0.628 Al
0.000 0.365 0.186 Al
0.628 0.811 0.628 Al
0.365 0.186 0.000 Al
0.811 0.172 0.811 Al
0.186 0.365 0.000 Al
0.186 0.000 0.365 Al
0.811 0.811 0.172 Al
0.365 0.000 0.186 Al
0.628 0.628 0.811 Al
0.000 0.186 0.365 Al
```


Entry 6:
Computed, not measured: a relaxed structure of Mg2Ni3WS8 at the PBE-GGA level of DFT.

## Properties
The value obtained for the formation energy is -1068 kJ/mol of formula units. The crystal system is monoclinic.

```
Mg2Ni3WS8
1.0
6.157 -0.002 3.545
2.049 5.833 3.547
-0.003 0.001 7.096
Mg Ni W S
2 3 1 8
Direct
0.869 0.893 0.869 Mg
0.131 0.107 0.131 Mg
0.500 0.500 0.500 Ni
0.500 0.500 0.000 Ni
0.000 0.500 0.500 Ni
0.500 0.000 0.500 W
0.739 0.733 0.739 S
0.261 0.267 0.711 S
0.270 0.689 0.270 S
0.711 0.267 0.261 S
0.730 0.311 0.730 S
0.289 0.733 0.739 S
0.261 0.267 0.261 S
0.739 0.733 0.289 S
```


Entry 7:
Computed, not measured: a relaxed structure of PuMn3 at the PBE-GGA level of DFT.

## Properties
The value obtained for the formation energy is 137 kJ/mol of formula units. The crystal system is orthorhombic.

```
PuMn3
1.0
5.226 -0.005 0.000
-2.617 4.531 0.000
0.000 0.000 4.243
Pu Mn
2 6
Direct
0.334 0.666 0.750 Pu
0.668 0.333 0.250 Pu
0.165 0.330 0.250 Mn
0.670 0.835 0.250 Mn
0.164 0.835 0.250 Mn
0.835 0.671 0.750 Mn
0.329 0.165 0.750 Mn
0.835 0.165 0.750 Mn
```


Entry 8:
Computed, not measured: a relaxed structure of Ca3Al3N5 at the PBE-GGA level of DFT.

## Properties
The value obtained for the formation energy is -1432 kJ/mol of formula units. The crystal system is triclinic.

```
Ca3Al3N5
1.0
-4.659 2.357 -2.226
-2.122 -6.581 -0.722
-0.321 1.972 8.101
Ca Al N
6 6 10
Direct
0.811 0.424 0.606 Ca
0.189 0.576 0.394 Ca
0.666 0.862 0.883 Ca
0.334 0.138 0.117 Ca
0.662 0.641 0.201 Ca
0.338 0.359 0.799 Ca
0.906 0.314 0.969 Al
0.094 0.686 0.031 Al
0.707 0.953 0.571 Al
0.293 0.047 0.429 Al
0.126 0.877 0.711 Al
0.874 0.123 0.289 Al
0.965 0.103 0.785 N
0.035 0.897 0.215 N
0.838 0.709 0.516 N
0.162 0.291 0.484 N
0.763 0.522 0.897 N
0.237 0.478 0.103 N
0.388 0.936 0.614 N
0.612 0.064 0.386 N
0.255 0.776 0.891 N
0.745 0.224 0.109 N
```


Entry 9:
Computed, not measured: a relaxed structure of Ba2NaNb5O15 at the PBE-GGA level of DFT.

## Properties
The value obtained for the formation energy is -6925 kJ/mol of formula units. The calculation puts the piezoelectric modulus e_max at 3.9 C/m2. The crystal system is tetragonal. For the energy above the lowest structure with this stoichiometry, the calculation gives 0.06 kcal/mol of atoms.

```
Ba2NaNb5O15
1.0
-0.512 -11.070 6.090
9.783 -4.204 -6.820
2.620 1.454 2.862
Ba Na Nb O
4 2 10 30
Direct
0.329 0.829 0.183 Ba
0.829 0.671 0.183 Ba
0.171 0.329 0.183 Ba
0.671 0.171 0.183 Ba
0.500 0.500 0.136 Na
0.000 0.000 0.136 Na
0.000 0.500 0.672 Nb
0.500 0.000 0.672 Nb
0.792 0.924 0.677 Nb
0.208 0.076 0.677 Nb
0.076 0.792 0.677 Nb
0.924 0.208 0.677 Nb
0.576 0.708 0.677 Nb
0.708 0.424 0.677 Nb
0.292 0.576 0.677 Nb
0.424 0.292 0.677 Nb
0.000 0.500 0.225 O
0.500 0.000 0.225 O
0.704 0.422 0.231 O
0.296 0.578 0.231 O
0.578 0.704 0.231 O
0.422 0.296 0.231 O
0.078 0.796 0.231 O
0.796 0.922 0.231 O
0.204 0.078 0.231 O
0.922 0.204 0.231 O
0.859 0.068 0.742 O
0.141 0.932 0.742 O
0.932 0.859 0.742 O
0.068 0.141 0.742 O
0.432 0.641 0.742 O
0.641 0.568 0.742 O
0.506 0.157 0.731 O
0.157 0.494 0.731 O
0.843 0.506 0.731 O
0.494 0.843 0.731 O
0.006 0.343 0.731 O
0.994 0.657 0.731 O
0.343 0.994 0.731 O
0.657 0.006 0.731 O
0.781 0.281 0.724 O
0.281 0.219 0.724 O
0.719 0.781 0.724 O
0.219 0.719 0.724 O
0.568 0.359 0.742 O
0.359 0.432 0.742 O
```


Entry 10:
Computed, not measured: a relaxed structure of EuGe3Rh at the PBE-GGA level of DFT.

## Properties
The value obtained for the formation energy is -307 kJ/mol of formula units. The crystal system is tetragonal.

```
EuGe3Rh
1.0
-2.224 2.224 5.086
2.224 -2.224 5.086
2.224 2.224 -5.086
Eu Ge Rh
1 3 1
Direct
0.001 0.001 0.000 Eu
0.245 0.745 0.500 Ge
0.745 0.245 0.500 Ge
0.586 0.586 0.000 Ge
0.348 0.348 0.000 Rh
```


Entry 11:
Computed, not measured: a relaxed structure of CaCu3Ge4O12 at the PBE-GGA level of DFT.

## Properties
The value obtained for the formation energy is -3525 kJ/mol of formula units. The crystal system is cubic.

```
CaCu3Ge4O12
1.0
-3.662 3.662 3.662
3.662 -3.662 3.662
3.662 3.662 -3.662
Ca Cu Ge O
1 3 4 12
Direct
0.000 0.000 0.000 Ca
0.500 0.000 0.500 Cu
0.500 0.500 0.000 Cu
0.000 0.500 0.500 Cu
0.500 0.500 0.500 Ge
0.500 0.000 0.000 Ge
0.000 0.500 0.000 Ge
0.000 0.000 0.500 Ge
0.301 0.118 0.817 O
0.699 0.882 0.183 O
0.699 0.516 0.817 O
0.484 0.183 0.301 O
0.183 0.301 0.484 O
0.817 0.301 0.118 O
0.882 0.183 0.699 O
0.817 0.699 0.516 O
0.301 0.484 0.183 O
0.516 0.817 0.699 O
0.183 0.699 0.882 O
0.118 0.817 0.301 O
```


Entry 12:
Computed, not measured: a relaxed structure of LaCuSi at the PBE-GGA level of DFT.

## Properties
The value obtained for the formation energy is -167 kJ/mol of formula units. The crystal system is hexagonal.

```
LaCuSi
1.0
2.093 -3.625 0.000
2.093 3.625 0.000
0.000 0.000 4.221
La Cu Si
1 1 1
Direct
0.333 0.667 0.000 La
0.667 0.333 0.500 Cu
0.000 0.000 0.500 Si
```


Entry 13:
Computed, not measured: a relaxed structure of MgCu4Cl2O6 at the PBE-GGA level of DFT.

## Properties
The value obtained for the formation energy is -1280 kJ/mol of formula units. The crystal system is monoclinic. For the energy above the lowest structure with this stoichiometry, the calculation gives 0.00 kcal/mol of atoms.

```
MgCu4Cl2O6
1.0
-3.101 -1.789 4.733
3.122 -1.788 4.748
0.011 3.601 4.750
Mg Cu Cl O
1 4 2 6
Direct
0.000 0.000 0.000 Mg
0.500 0.500 0.500 Cu
0.500 0.000 0.500 Cu
0.000 0.500 0.500 Cu
0.500 0.500 0.000 Cu
0.802 0.802 0.802 Cl
0.198 0.198 0.198 Cl
0.747 0.325 0.748 O
0.323 0.749 0.750 O
0.747 0.748 0.325 O
0.253 0.675 0.252 O
0.677 0.251 0.250 O
0.253 0.252 0.675 O
```


Entry 14:
Computed, not measured: a relaxed structure of Na6YNb3Si6O24 at the PBE-GGA level of DFT.

## Properties
The value obtained for the formation energy is -11610 kJ/mol of formula units. For the energy above the lowest structure with this stoichiometry, the calculation gives 0.00 kcal/mol of atoms.

```
Na6YNb3Si6O24
1.0
-4.171 -13.636 -7.120
8.806 -2.474 -0.437
0.758 1.230 9.065
Na Y Nb Si O
12 2 6 12 48
Direct
0.252 0.750 0.000 Na
0.748 0.750 0.495 Na
0.752 0.250 0.000 Na
0.248 0.250 0.495 Na
0.505 0.098 0.759 Na
0.501 0.885 0.241 Na
0.005 0.598 0.759 Na
0.001 0.385 0.241 Na
0.804 0.931 0.216 Na
0.186 0.069 0.793 Na
0.304 0.431 0.216 Na
0.686 0.569 0.793 Na
0.104 0.241 0.067 Y
0.604 0.741 0.067 Y
0.107 0.749 0.561 Nb
0.896 0.756 0.931 Nb
0.892 0.249 0.439 Nb
0.607 0.249 0.561 Nb
0.396 0.256 0.931 Nb
0.392 0.749 0.439 Nb
0.996 0.952 0.739 Si
0.998 0.041 0.259 Si
0.496 0.452 0.739 Si
0.498 0.541 0.259 Si
0.353 0.899 0.759 Si
0.649 0.897 0.748 Si
0.647 0.117 0.245 Si
0.359 0.098 0.251 Si
0.853 0.399 0.759 Si
0.149 0.397 0.748 Si
0.147 0.617 0.245 Si
0.859 0.598 0.251 Si
0.157 0.573 0.724 O
0.850 0.580 0.753 O
0.856 0.419 0.259 O
0.159 0.442 0.259 O
0.657 0.073 0.724 O
0.350 0.080 0.753 O
0.356 0.919 0.259 O
0.659 0.942 0.259 O
0.427 0.561 0.563 O
0.579 0.549 0.907 O
0.552 0.433 0.431 O
0.435 0.428 0.082 O
0.927 0.061 0.563 O
0.079 0.049 0.907 O
0.052 0.933 0.431 O
0.935 0.928 0.082 O
0.246 0.845 0.734 O
0.742 0.808 0.760 O
0.744 0.193 0.255 O
0.275 0.187 0.261 O
0.746 0.345 0.734 O
0.242 0.308 0.760 O
0.244 0.693 0.255 O
0.775 0.687 0.261 O
0.363 0.848 0.593 O
0.652 0.881 0.926 O
0.646 0.179 0.413 O
0.355 0.140 0.070 O
0.863 0.348 0.593 O
0.152 0.381 0.926 O
0.146 0.679 0.413 O
0.855 0.640 0.070 O
0.450 0.840 0.945 O
0.538 0.824 0.576 O
0.537 0.172 0.061 O
0.474 0.146 0.422 O
0.950 0.340 0.945 O
0.038 0.324 0.576 O
0.037 0.672 0.061 O
0.974 0.646 0.422 O
0.065 0.830 0.720 O
0.915 0.856 0.759 O
0.908 0.136 0.254 O
0.079 0.150 0.268 O
0.565 0.330 0.720 O
0.415 0.356 0.759 O
0.408 0.636 0.254 O
0.579 0.650 0.268 O
```